1.
K3SmP2O8 | r²SCAN | optimized geometry

The value obtained for the energy of formation is -2.84 eV per atom. For the total energy, the calculation gives -10.95 eV per atom.

The space group is P2_1/m (No. 11) and the conventional cell measures 7.399, 5.631 and 9.468 Å, with angles of 90.00, 90.75 and 90.00 degrees. The distinct sites, in fractional coordinates, are K at (0.007, 0.250, 0.191), K at (0.136, 0.750, 0.408), K at (0.298, 0.250, 0.917), Sm at (0.493, 0.750, 0.709), P at (0.267, 0.750, 0.087), P at (0.308, 0.250, 0.574), O at (0.062, 0.750, 0.101), O at (0.217, 0.250, 0.426), O at (0.252, 0.027, 0.657), O at (0.323, 0.750, 0.931), O at (0.346, 0.527, 0.161) and O at (0.487, 0.750, 0.450).

2.
SbTePd | r²SCAN | optimized geometry

The value obtained for the energy of formation is -0.38 eV per atom. For the total energy, the calculation gives -25.07 eV per atom.

The space group is P2_13 (No. 198) and the conventional cell measures 6.607, 6.607 and 6.607 Å, with angles of 90.00, 90.00 and 90.00 degrees. The distinct sites, in fractional coordinates, are Sb at (0.127, 0.127, 0.127), Te at (0.125, 0.375, 0.625) and Pd at (0.004, 0.996, 0.496).

3.
Sr5Sb3 | r²SCAN | optimized geometry

The value obtained for the energy of formation is -1.18 eV per atom. For the total energy, the calculation gives -20.29 eV per atom.

The space group is Pnma (No. 62) and the conventional cell measures 13.417, 10.094 and 8.804 Å, with angles of 90.00, 90.00 and 90.00 degrees. The distinct sites, in fractional coordinates, are Sr at (0.004, 0.250, 0.036), Sr at (0.080, 0.039, 0.690), Sr at (0.205, 0.750, 0.346), Sr at (0.224, 0.250, 0.321), Sb at (0.015, 0.750, 0.576) and Sb at (0.171, 0.511, 0.061).

4.
KCdCl3 | r²SCAN | optimized geometry

The value obtained for the energy of formation is -1.67 eV per atom. For the total energy, the calculation gives -10.59 eV per atom.

The space group is Pnma (No. 62) and the conventional cell measures 8.851, 4.014 and 14.611 Å, with angles of 90.00, 90.00 and 90.00 degrees. The distinct sites, in fractional coordinates, are K at (0.072, 0.250, 0.178), Cd at (0.172, 0.750, 0.445), Cl at (0.021, 0.750, 0.603), Cl at (0.164, 0.750, 0.011) and Cl at (0.208, 0.250, 0.789).